{"formula": "Na7Mg3TaSi3S3O24", "functional": "GGA-PBE", "state": "optimized geometry", "cell": [[9.094, -0.030, -0.038], [-4.573, 7.890, 0.025], [-0.099, 0.018, 22.238]], "species": ["Na", "Na", "Na", "Na", "Na", "Na", "Na", "Na", "Na", "Na", "Na", "Na", "Na", "Na", "Na", "Na", "Na", "Na", "Na", "Na", "Na", "Si", "Si", "Si", "Si", "Si", "Si", "Si", "Si", "Si", "O", "O", "O", "O", "O", "O", "O", "O", "O", "O", "O", "O", "O", "O", "O", "O", "O", "O", "O", "O", "O", "O", "O", "O", "O", "O", "O", "O", "O", "O", "O", "O", "O", "O", "O", "O", "O", "O", "O", "O", "O", "O", "O", "O", "O", "O", "O", "O", "O", "O", "O", "O", "O", "O", "O", "O", "O", "O", "O", "O", "O", "O", "O", "O", "O", "O", "O", "O", "O", "O", "O", "O", "Ta", "Ta", "Ta", "S", "S", "S", "S", "S", "S", "S", "S", "S", "Mg", "Mg", "Mg", "Mg", "Mg", "Mg", "Mg", "Mg", "Mg"], "frac_coords": [[0.024, 0.320, 0.081], [0.310, 0.969, 0.093], [0.654, 0.344, 0.333], [0.360, 0.015, 0.750], [0.980, 0.345, 0.751], [0.634, 0.002, 0.237], [0.038, 0.709, 0.588], [0.665, 0.639, 0.752], [0.015, 0.001, 0.494], [0.667, 0.339, 0.820], [0.973, 0.989, 0.990], [0.710, 0.658, 0.408], [0.982, 0.312, 0.421], [0.329, 0.667, 0.668], [0.989, 0.658, 0.251], [0.293, 0.329, 0.588], [0.359, 0.694, 0.165], [0.315, 0.037, 0.413], [0.381, 0.351, 0.255], [0.673, 0.969, 0.595], [0.668, 0.723, 0.081], [0.640, 0.677, 0.922], [0.709, 0.005, 0.748], [0.297, 0.001, 0.249], [0.290, 0.286, 0.750], [0.003, 0.704, 0.749], [0.327, 0.363, 0.421], [0.668, 0.039, 0.086], [0.035, 0.666, 0.422], [0.702, 0.703, 0.250], [0.861, 0.328, 0.243], [0.464, 0.141, 0.526], [0.976, 0.178, 0.583], [0.316, 0.863, 0.974], [0.486, 0.332, 0.743], [0.683, 0.516, 0.243], [0.513, 0.827, 0.761], [0.469, 0.315, 0.030], [0.203, 0.165, 0.806], [0.664, 0.155, 0.740], [0.646, 0.131, 0.144], [0.151, 0.184, 0.411], [0.215, 0.036, 0.308], [0.812, 0.792, 0.310], [0.477, 0.126, 0.635], [0.826, 0.834, 0.913], [0.547, 0.680, 0.983], [0.125, 0.633, 0.075], [0.632, 0.123, 0.421], [0.178, 0.957, 0.188], [0.178, 0.230, 0.687], [0.022, 0.209, 0.916], [0.492, 0.160, 0.246], [0.846, 0.510, 0.741], [0.685, 0.171, 0.028], [0.880, 0.521, 0.137], [0.978, 0.193, 0.304], [0.307, 0.482, 0.761], [0.158, 0.705, 0.479], [0.363, 0.868, 0.579], [0.122, 0.484, 0.867], [0.209, 0.173, 0.085], [0.061, 0.818, 0.687], [0.824, 0.803, 0.584], [0.345, 0.478, 0.076], [0.359, 0.880, 0.866], [0.313, 0.822, 0.258], [0.191, 0.991, 0.914], [0.497, 0.346, 0.418], [0.844, 0.030, 0.083], [0.512, 0.869, 0.363], [0.007, 0.827, 0.414], [0.794, 0.980, 0.410], [0.857, 0.316, 0.526], [0.354, 0.497, 0.362], [0.507, 0.645, 0.864], [0.856, 0.485, 0.418], [0.306, 0.454, 0.480], [0.503, 0.676, 0.259], [0.132, 0.489, 0.580], [0.137, 0.466, 0.976], [0.035, 0.222, 0.196], [0.494, 0.853, 0.080], [0.145, 0.648, 0.362], [0.546, 0.851, 0.472], [0.204, 0.021, 0.581], [0.764, 0.944, 0.688], [0.647, 0.490, 0.927], [0.514, 0.653, 0.578], [0.766, 0.820, 0.189], [0.683, 0.546, 0.527], [0.865, 0.361, 0.924], [0.842, 0.526, 0.029], [0.646, 0.528, 0.635], [0.498, 0.136, 0.924], [0.176, 0.687, 0.766], [0.480, 0.365, 0.137], [0.872, 0.347, 0.635], [0.164, 0.471, 0.256], [0.957, 0.789, 0.802], [0.835, 0.049, 0.804], [0.974, 0.789, 0.082], [0.330, 0.663, 0.316], [0.346, 0.662, 0.812], [0.668, 0.328, 0.975], [0.377, 0.040, 0.581], [0.331, 0.958, 0.919], [0.667, 0.631, 0.581], [0.003, 0.296, 0.250], [0.045, 0.378, 0.921], [0.957, 0.619, 0.082], [0.375, 0.333, 0.082], [0.958, 0.332, 0.582], [0.624, 0.957, 0.419], [0.009, 0.988, 0.351], [0.998, 0.995, 0.668], [0.656, 0.326, 0.187], [0.666, 0.343, 0.478], [0.985, 0.985, 0.153], [0.324, 0.657, 0.513], [0.986, 0.986, 0.845], [0.355, 0.683, 0.014], [0.664, 0.334, 0.689]], "sg": "No. 1"}

---

{"formula": "Na3MgTa5Si6S3O36", "functional": "GGA-PBE", "state": "optimized geometry", "cell": [[8.846, 0.009, -0.008], [-4.415, 7.666, 0.008], [-0.020, 0.011, 22.905]], "species": ["O", "O", "O", "O", "O", "O", "O", "O", "O", "O", "O", "O", "O", "O", "O", "O", "O", "O", "O", "O", "O", "O", "O", "O", "O", "O", "O", "O", "O", "O", "O", "O", "O", "O", "O", "O", "O", "O", "O", "O", "O", "O", "O", "O", "O", "O", "O", "O", "O", "O", "O", "O", "O", "O", "O", "O", "O", "O", "O", "O", "O", "O", "O", "O", "O", "O", "O", "O", "O", "O", "O", "O", "S", "S", "S", "S", "S", "S", "Si", "Si", "Si", "Si", "Si", "Si", "Si", "Si", "Si", "Si", "Si", "Si", "Na", "Na", "Na", "Na", "Na", "Na", "Ta", "Ta", "Ta", "Ta", "Ta", "Ta", "Ta", "Ta", "Ta", "Ta", "Mg", "Mg"], "frac_coords": [[0.024, 0.836, 0.405], [0.364, 0.863, 0.859], [0.202, 0.178, 0.803], [0.834, 0.019, 0.806], [0.845, 0.540, 0.744], [0.356, 0.505, 0.074], [0.699, 0.532, 0.526], [0.460, 0.155, 0.244], [0.303, 0.840, 0.256], [0.302, 0.833, 0.973], [0.821, 0.305, 0.247], [0.468, 0.301, 0.026], [0.508, 0.146, 0.925], [0.699, 0.152, 0.031], [0.177, 0.482, 0.257], [0.825, 0.023, 0.091], [0.974, 0.817, 0.093], [0.185, 0.164, 0.091], [0.345, 0.847, 0.573], [0.136, 0.501, 0.858], [0.880, 0.505, 0.142], [0.165, 0.186, 0.407], [0.298, 0.462, 0.757], [0.183, 0.026, 0.593], [0.495, 0.120, 0.642], [0.810, 0.973, 0.694], [0.534, 0.834, 0.473], [0.461, 0.309, 0.746], [0.850, 0.353, 0.926], [0.134, 0.487, 0.576], [0.534, 0.703, 0.974], [0.137, 0.636, 0.359], [0.691, 0.539, 0.246], [0.695, 0.179, 0.747], [0.836, 0.815, 0.591], [0.518, 0.823, 0.757], [0.031, 0.825, 0.697], [0.848, 0.301, 0.531], [0.854, 0.492, 0.425], [0.834, 0.530, 0.026], [0.504, 0.359, 0.423], [0.795, 0.823, 0.198], [0.175, 0.969, 0.197], [0.166, 0.466, 0.973], [0.822, 0.798, 0.303], [0.647, 0.150, 0.426], [0.500, 0.635, 0.859], [0.201, 0.021, 0.302], [0.153, 0.655, 0.073], [0.177, 0.205, 0.698], [0.810, 0.972, 0.408], [0.028, 0.190, 0.908], [0.637, 0.506, 0.644], [0.494, 0.363, 0.144], [0.470, 0.166, 0.526], [0.167, 0.698, 0.473], [0.297, 0.466, 0.474], [0.636, 0.118, 0.137], [0.513, 0.866, 0.076], [0.160, 0.697, 0.756], [0.027, 0.190, 0.194], [0.499, 0.864, 0.358], [0.981, 0.166, 0.306], [0.641, 0.496, 0.923], [0.977, 0.175, 0.591], [0.814, 0.835, 0.907], [0.979, 0.799, 0.802], [0.164, 0.976, 0.905], [0.882, 0.364, 0.637], [0.495, 0.644, 0.574], [0.365, 0.500, 0.359], [0.538, 0.702, 0.257], [0.289, 0.001, 0.250], [0.664, 0.045, 0.085], [0.288, 0.288, 0.750], [0.955, 0.336, 0.585], [0.999, 0.711, 0.750], [0.712, 0.712, 0.250], [0.618, 0.957, 0.415], [0.619, 0.668, 0.918], [0.335, 0.958, 0.918], [0.659, 0.611, 0.586], [0.992, 0.291, 0.249], [0.953, 0.619, 0.086], [0.389, 0.341, 0.086], [0.709, 0.008, 0.749], [0.042, 0.665, 0.418], [0.332, 0.381, 0.418], [0.381, 0.047, 0.586], [0.043, 0.382, 0.915], [0.002, 0.997, 0.500], [0.343, 0.675, 0.665], [0.667, 0.325, 0.831], [0.675, 0.333, 0.331], [0.003, 0.998, 0.000], [0.325, 0.657, 0.165], [0.664, 0.345, 0.978], [0.655, 0.336, 0.478], [0.011, 0.012, 0.143], [0.343, 0.675, 0.815], [0.343, 0.677, 0.520], [0.988, 0.989, 0.643], [0.993, 0.005, 0.857], [0.325, 0.657, 0.315], [0.323, 0.657, 0.020], [0.995, 0.007, 0.357], [0.657, 0.322, 0.685], [0.678, 0.343, 0.185]], "sg": "No. 9"}

---

{"formula": "Na3MgTaSi2SO12", "functional": "GGA-PBE", "state": "optimized geometry", "cell": [[9.017, 0.031, -0.061], [-4.482, 7.825, 0.061], [-0.155, 0.090, 22.399]], "species": ["O", "O", "O", "O", "O", "O", "O", "O", "O", "O", "O", "O", "O", "O", "O", "O", "O", "O", "O", "O", "O", "O", "O", "O", "O", "O", "O", "O", "O", "O", "O", "O", "O", "O", "O", "O", "O", "O", "O", "O", "O", "O", "O", "O", "O", "O", "O", "O", "O", "O", "O", "O", "O", "O", "O", "O", "O", "O", "O", "O", "O", "O", "O", "O", "O", "O", "O", "O", "O", "O", "O", "O", "S", "S", "S", "S", "S", "S", "Na", "Na", "Na", "Na", "Na", "Na", "Na", "Na", "Na", "Na", "Na", "Na", "Na", "Na", "Na", "Na", "Na", "Na", "Ta", "Ta", "Ta", "Ta", "Ta", "Ta", "Mg", "Mg", "Mg", "Mg", "Mg", "Mg", "Si", "Si", "Si", "Si", "Si", "Si", "Si", "Si", "Si", "Si", "Si", "Si"], "frac_coords": [[0.818, 0.788, 0.310], [0.841, 0.308, 0.532], [0.978, 0.782, 0.806], [0.133, 0.639, 0.356], [0.962, 0.816, 0.090], [0.496, 0.862, 0.360], [0.844, 0.494, 0.423], [0.162, 0.196, 0.693], [0.212, 0.182, 0.810], [0.175, 0.975, 0.198], [0.506, 0.156, 0.923], [0.163, 0.974, 0.911], [0.197, 0.201, 0.409], [0.178, 0.161, 0.089], [0.496, 0.641, 0.577], [0.026, 0.837, 0.411], [0.312, 0.449, 0.473], [0.317, 0.840, 0.973], [0.694, 0.533, 0.523], [0.692, 0.170, 0.744], [0.358, 0.492, 0.365], [0.218, 0.022, 0.306], [0.293, 0.831, 0.253], [0.465, 0.137, 0.242], [0.359, 0.504, 0.077], [0.863, 0.535, 0.742], [0.830, 0.308, 0.244], [0.826, 0.017, 0.806], [0.850, 0.372, 0.924], [0.025, 0.825, 0.698], [0.885, 0.355, 0.640], [0.650, 0.507, 0.639], [0.502, 0.374, 0.420], [0.839, 0.822, 0.589], [0.151, 0.455, 0.977], [0.160, 0.683, 0.473], [0.467, 0.306, 0.023], [0.879, 0.515, 0.144], [0.184, 0.038, 0.590], [0.530, 0.868, 0.076], [0.959, 0.164, 0.586], [0.983, 0.174, 0.306], [0.836, 0.041, 0.086], [0.517, 0.705, 0.257], [0.511, 0.828, 0.756], [0.817, 0.988, 0.413], [0.295, 0.483, 0.757], [0.132, 0.470, 0.576], [0.471, 0.171, 0.526], [0.799, 0.803, 0.909], [0.551, 0.688, 0.973], [0.028, 0.200, 0.189], [0.012, 0.183, 0.913], [0.361, 0.867, 0.856], [0.138, 0.504, 0.860], [0.493, 0.350, 0.139], [0.508, 0.642, 0.865], [0.626, 0.498, 0.920], [0.150, 0.655, 0.079], [0.169, 0.707, 0.753], [0.692, 0.159, 0.032], [0.172, 0.489, 0.256], [0.485, 0.121, 0.644], [0.345, 0.850, 0.579], [0.800, 0.972, 0.689], [0.484, 0.322, 0.746], [0.804, 0.838, 0.193], [0.829, 0.529, 0.026], [0.678, 0.516, 0.246], [0.628, 0.150, 0.424], [0.545, 0.849, 0.477], [0.645, 0.115, 0.140], [0.666, 0.043, 0.085], [0.624, 0.667, 0.918], [0.290, 0.000, 0.252], [0.333, 0.376, 0.418], [0.000, 0.710, 0.752], [0.957, 0.334, 0.585], [0.022, 0.013, 0.993], [0.320, 0.644, 0.160], [0.689, 0.347, 0.326], [0.307, 0.281, 0.912], [0.356, 0.680, 0.660], [0.320, 0.003, 0.421], [0.663, 0.013, 0.255], [0.987, 0.978, 0.493], [0.052, 0.359, 0.079], [0.974, 0.614, 0.245], [0.719, 0.693, 0.412], [0.997, 0.680, 0.921], [0.330, 0.347, 0.588], [0.653, 0.311, 0.826], [0.987, 0.337, 0.755], [0.641, 0.948, 0.579], [0.653, 0.670, 0.088], [0.386, 0.026, 0.745], [0.662, 0.332, 0.980], [0.328, 0.665, 0.313], [0.335, 0.672, 0.813], [0.995, 0.999, 0.646], [0.668, 0.338, 0.480], [0.001, 0.005, 0.146], [0.982, 0.994, 0.353], [0.648, 0.327, 0.686], [0.673, 0.352, 0.186], [0.315, 0.661, 0.019], [0.339, 0.685, 0.519], [0.006, 0.018, 0.853], [0.702, 0.703, 0.253], [0.041, 0.666, 0.418], [0.708, 0.000, 0.752], [0.000, 0.292, 0.252], [0.964, 0.631, 0.086], [0.369, 0.036, 0.586], [0.375, 0.333, 0.085], [0.334, 0.959, 0.918], [0.297, 0.298, 0.753], [0.631, 0.964, 0.420], [0.667, 0.625, 0.585], [0.036, 0.369, 0.920]]}

---

Let's list formation enthalpy at 0 K in order: -2.565 -2.880 -2.695 eV per atom.
Let's list magnetization in order: 0.00 0.00 0.00 μB per atom.